A relaxed Ti6O11 crystal, computed with GGA-PBE.

Summary:
As for the formation enthalpy at 0 K: -3.438 eV per atom.

abc: 5.3442 5.3442 21.2227
angles: 86.66 86.66 41.21
Closest atoms and distances in Å follow each position.
Atoms (fractional coordinates):
1 Ti 0.2101 0.2101 0.8857  5 O 1.92-2.08
2 Ti 0.9318 0.9318 0.9399  5 O 1.94-2.04
3 Ti 0.7655 0.7655 0.3009  5 O 1.91-2.05
4 Ti 0.7899 0.7899 0.1143  5 O 1.92-2.08
5 Ti 0.9007 0.9007 0.7925  4 O 1.91-2.01
6 Ti 0.0993 0.0993 0.2075  4 O 1.91-2.01
7 Ti 0.2345 0.2345 0.6991  5 O 1.91-2.05
8 Ti 0.1375 0.1375 0.5239  6 O 1.92-2.04
9 Ti 0.0304 0.0304 0.3536  5 O 1.93-2.06
10 Ti 0.0682 0.0682 0.0601  5 O 1.94-2.04
11 Ti 0.9696 0.9696 0.6464  5 O 1.93-2.06
12 Ti 0.8625 0.8625 0.4761  6 O 1.92-2.04
13 O 0.3299 0.3299 0.7938  3 Ti 2.01-2.22
14 O 0.6701 0.6701 0.2062  3 Ti 2.01-2.22
15 O 0.8412 0.8412 0.3811  3 Ti 1.91-2.04
16 O 0.3234 0.3234 0.4806  3 Ti 1.92-2.02
17 O 0.7835 0.7835 0.7090  3 Ti 1.96-2.19
18 O 0.5770 0.5770 0.3447  3 Ti 1.94-2.05
19 O 0.8859 0.8859 0.0330  3 Ti 1.92-2.00
20 O 0.0505 0.0505 0.4436  3 Ti 1.93-1.96
21 O 0.6143 0.6143 0.0670  3 Ti 1.94-2.08
22 O 0.0347 0.0347 0.8539  3 Ti 1.92-2.04
23 O 0.9479 0.9479 0.2673  3 Ti 1.91-2.06
24 O 0.7611 0.7611 0.8771  2 Ti 1.95
25 O 0.3857 0.3857 0.9330  3 Ti 1.94-2.08
26 O 0.0521 0.0521 0.7327  3 Ti 1.91-2.06
27 O 0.4230 0.4230 0.6553  3 Ti 1.94-2.05
28 O 0.6766 0.6766 0.5194  3 Ti 1.92-2.02
29 O 0.9495 0.9495 0.5564  3 Ti 1.93-1.96
30 O 0.2165 0.2165 0.2910  3 Ti 1.96-2.19
31 O 0.9653 0.9653 0.1461  3 Ti 1.92-2.04
32 O 0.2389 0.2389 0.1229  2 Ti 1.95
33 O 0.1141 0.1141 0.9670  3 Ti 1.92-2.00
34 O 0.1588 0.1588 0.6189  3 Ti 1.91-2.04